PBE Hf4NbGe4, relaxed; crystal system = orthorhombic; SG = Pnma
1.0
6.9549 0.0000 0.0000
0.0000 13.5001 0.0000
0.0000 0.0000 7.0640
Hf Nb Ge
16 4 16
Direct
0.0153 0.0954 0.1769
0.0153 0.4046 0.1769
0.1511 0.6247 0.3306
0.1511 0.8753 0.3306
0.3489 0.1247 0.8306
0.3489 0.3753 0.8306
0.4847 0.5954 0.6769
0.4847 0.9046 0.6769
0.5153 0.0954 0.3231
0.5153 0.4046 0.3231
0.6511 0.6247 0.1694
0.6511 0.8753 0.1694
0.8489 0.1247 0.6694
0.8489 0.3753 0.6694
0.9847 0.5954 0.8231
0.9847 0.9046 0.8231
0.1762 0.2500 0.5032
0.3238 0.7500 0.0032
0.6762 0.2500 0.9968
0.8238 0.7500 0.4968
0.0475 0.2500 0.8912
0.1831 0.7500 0.6492
0.1919 0.0403 0.5315
0.1919 0.4597 0.5315
0.3081 0.5403 0.0315
0.3081 0.9597 0.0315
0.3169 0.2500 0.1492
0.4525 0.7500 0.3912
0.5475 0.2500 0.6088
0.6831 0.7500 0.8508
0.6919 0.0403 0.9685
0.6919 0.4597 0.9685
0.8081 0.5403 0.4685
0.8081 0.9597 0.4685
0.8169 0.2500 0.3508
0.9525 0.7500 0.1088



PBE CaAl2SiO6, relaxed; energy with MP2020 corrections = -7.89 eV/atom; spin magnetization = 0.0 μB per formula unit; crystal system = monoclinic; SG = P2/c; energy relative to the lowest polymorph listed for this composition = 0.000 eV/atom
1.0
5.3344 0.0000 0.0000
0.0000 8.7513 0.0000
-2.5707 0.0000 9.3499
Ca Al Si O
4 8 4 24
Direct
0.0000 0.0580 0.2500
0.0000 0.9420 0.7500
0.5000 0.4367 0.2500
0.5000 0.5633 0.7500
0.0000 0.3392 0.7500
0.0000 0.6608 0.2500
0.3239 0.1537 0.0337
0.3239 0.8463 0.5337
0.5000 0.1528 0.7500
0.5000 0.8472 0.2500
0.6761 0.1537 0.4663
0.6761 0.8463 0.9663
0.1737 0.3479 0.4578
0.1737 0.6521 0.9578
0.8263 0.3479 0.0422
0.8263 0.6521 0.5422
0.1178 0.2752 0.1042
0.1178 0.7248 0.6042
0.1943 0.4873 0.8822
0.1943 0.5127 0.3822
0.2324 0.1771 0.8459
0.2324 0.8229 0.3459
0.2626 0.3424 0.6358
0.2626 0.6576 0.1358
0.3041 0.0197 0.6169
0.3041 0.9803 0.1169
0.3675 0.2369 0.3944
0.3675 0.7631 0.8944
0.6325 0.2369 0.1056
0.6325 0.7631 0.6056
0.6959 0.0197 0.8831
0.6959 0.9803 0.3831
0.7374 0.3424 0.8642
0.7374 0.6576 0.3642
0.7676 0.1771 0.6541
0.7676 0.8229 0.1541
0.8057 0.4873 0.6178
0.8057 0.5127 0.1178
0.8822 0.2752 0.3958
0.8822 0.7248 0.8958



PBE LuAl3, relaxed; crystal system = cubic; SG = Pm-3m
1.0
4.2044 0.0000 0.0000
0.0000 4.2044 0.0000
0.0000 0.0000 4.2044
Lu Al
1 3
Direct
0.0000 0.0000 0.0000
0.0000 0.5000 0.5000
0.5000 0.0000 0.5000
0.5000 0.5000 0.0000



PBE MgTe4MoW3S4, relaxed; energy with MP2020 corrections = -6.66 eV/atom; spin magnetization = 0.0 μB per formula unit; crystal system = trigonal; SG = P3m1; energy relative to the lowest polymorph listed for this composition = 0.035 eV/atom
1.0
3.3638 0.0000 0.0000
-1.6819 2.9131 0.0000
0.0000 0.0000 43.8468
Mg Te Mo W S
1 4 1 3 4
Direct
0.0000 0.0000 0.0000
0.3333 0.6667 0.2461
0.3333 0.6667 0.3328
0.6667 0.3333 0.6820
0.6667 0.3333 0.7687
0.6667 0.3333 0.9081
0.3333 0.6667 0.1082
0.3333 0.6667 0.7253
0.6667 0.3333 0.2894
0.3333 0.6667 0.8740
0.3333 0.6667 0.9432
0.6667 0.3333 0.0736
0.6667 0.3333 0.1427



Number 1: DFT formation energy -0.7058 eV/atom. Number 2: DFT formation energy -3.4283 eV/atom. Number 3: DFT formation energy -0.4014 eV/atom. Number 4: DFT formation energy -0.4741 eV/atom.